No. 1
! Fe7Se8 | the Materials Project | PBE | optimized geometry; values from VASP
&SYSTEM
  ibrav = 0, nat = 45, ntyp = 2
/
ATOMIC_SPECIES
Fe 55.84 Fe.upf
Se 78.96 Se.upf
ATOMIC_POSITIONS angstrom
Fe -0.0484 0.0838 2.6708
Fe -0.1074 0.1860 10.6832
Fe -1.7148 2.9700 10.6832
Fe -1.8484 3.2502 13.4282
Fe -1.8397 3.2673 5.2794
Fe 0.0967 0.0000 13.3540
Fe 0.2148 0.0000 5.3416
Fe 3.4295 0.0000 5.3416
Fe 1.7219 3.0631 10.6210
Fe 1.7410 3.0642 2.7450
Fe 1.7918 3.0228 5.4038
Fe 1.7832 3.0398 13.2798
Fe 0.1179 6.2497 15.9626
Fe 0.1074 6.2657 8.0866
Fe 3.7390 0.0243 2.5966
Fe 3.7494 0.0404 10.7454
Fe 1.9168 3.3200 0.0000
Fe 3.5242 6.1041 0.0000
Fe 3.5832 6.2063 8.0124
Fe 5.3534 3.2269 0.0622
Fe 5.3725 3.2259 7.9382
Se -0.0488 2.1230 4.0956
Se -0.0340 2.1536 9.2350
Se -1.7866 5.2138 9.4904
Se 0.0096 2.1359 14.8320
Se -1.7686 5.2708 14.7788
Se -1.7495 5.2427 3.8934
Se -0.0335 4.1674 11.9538
Se -0.0057 4.2353 6.6122
Se 0.0392 4.1773 1.2706
Se 1.8630 1.0192 11.9292
Se 1.8449 1.0762 1.1928
Se 1.8821 1.0473 6.7898
Se 1.7835 5.1838 14.5766
Se 1.7771 5.2304 4.1488
Se 1.8174 5.1863 9.4372
Se 3.6258 2.0547 4.0710
Se 3.5981 2.1226 14.7542
Se 3.6708 2.1127 9.4126
Se 3.5975 4.1365 1.4482
Se 3.5827 4.1670 6.5876
Se 5.4086 1.0597 6.5344
Se 3.6411 4.1542 11.8760
Se 5.4151 1.1062 12.1314
Se 5.4489 1.1038 1.2460
CELL_PARAMETERS angstrom
7.2631 0.0000 0.0000
-3.6316 6.2900 0.0000
0.0000 0.0000 16.0248
! - Energy: -89.280 eV/f.u.
! - Formation energy from the elements: -0.387 eV per atom
! - Symmetry: No. 152
! - Total moment: 12.69 μB/f.u.

---

No. 2
! CuH12C6S4N2 | the Materials Project | PBE | optimized geometry; values from VASP
&SYSTEM
  ibrav = 0, nat = 100, ntyp = 5
/
ATOMIC_SPECIES
Cu 63.55 Cu.upf
H 1.01 H.upf
C 12.01 C.upf
S 32.06 S.upf
N 14.01 N.upf
ATOMIC_POSITIONS angstrom
Cu 2.8134 7.5160 9.9495
Cu 4.2853 7.5160 13.7093
Cu 3.4702 -7.5160 2.0632
Cu 4.9421 -7.5160 5.8230
H 0.6737 2.3641 11.0126
H 2.8692 4.3491 1.9527
H 0.9412 1.9884 12.7545
H 3.8485 5.8578 1.9868
H 1.3506 0.6502 9.3227
H 3.3888 2.6596 0.2228
H 2.3233 2.3741 11.6710
H 3.8547 4.2933 5.3635
H 4.5638 5.8578 5.8994
H 2.0075 -0.6502 1.4365
H 2.7367 0.8739 2.0429
H 1.3305 -2.3641 3.1264
H 3.3280 2.5927 7.0922
H 4.5577 4.2933 2.5227
H 1.5980 -1.9884 4.8683
H 3.6767 2.9940 8.8074
H 2.0799 -0.8739 9.9291
H 3.4219 2.9940 14.8513
H 3.0031 0.6640 9.9984
H 5.0843 2.5927 0.7940
H 5.5431 4.3491 5.9336
H 3.6600 -0.6640 2.1122
H 2.9801 -2.3741 3.7848
H 5.0235 2.6596 7.6634
H 2.7320 -2.6596 8.1091
H 4.7753 2.3741 11.9877
H 4.0955 0.6640 13.6603
H 2.2124 -4.3491 9.8389
H 2.6712 -2.5927 14.9785
H 4.7524 -0.6640 5.7741
H 4.3335 -2.9940 0.9211
H 5.6756 0.8739 5.8433
H 4.0788 -2.9940 6.9651
H 6.1575 1.9884 10.9042
H 3.1978 -4.2933 13.2498
H 4.4274 -2.5927 8.6803
H 6.4250 2.3641 12.6461
H 5.0187 -0.8739 13.7296
H 5.7480 0.6502 14.3360
H 3.1917 -5.8578 9.8730
H 3.9008 -4.2933 10.4090
H 5.4322 -2.3741 4.1014
H 4.3667 -2.6596 15.5497
H 6.4049 -0.6502 6.4497
H 3.9070 -5.8578 13.7857
H 6.8143 -1.9884 3.0180
H 4.8863 -4.3491 13.8198
H 7.0818 -2.3641 4.7599
C 1.3427 1.8816 11.7419
C 1.6336 0.5025 4.3104
C 3.8719 4.7782 1.8114
C 3.7212 5.4908 8.2785
C 3.3774 5.4908 15.3803
C 0.9768 -0.5025 12.1966
C 2.0072 0.2057 10.0855
C 4.5404 4.7782 6.0748
C 2.6640 -0.2057 2.1993
C 4.3891 3.1042 0.1103
C 1.9995 -1.8816 3.8557
C 4.0232 3.1043 7.7759
C 3.7323 -3.1043 7.9965
C 5.7560 1.8816 11.9168
C 3.3664 -3.1043 15.6622
C 5.0915 0.2057 13.5732
C 3.2151 -4.7782 9.6976
C 5.7483 -0.2057 5.6870
C 6.7787 0.5025 3.5759
C 4.3780 -5.4908 0.3922
C 4.0343 -5.4908 7.4940
C 3.8835 -4.7782 13.9611
C 6.1219 -0.5025 11.4621
C 6.4128 -1.8816 4.0306
S 1.6149 2.1659 3.8593
S 3.7819 7.1637 7.8677
S 0.9320 0.2100 5.8545
S 4.6304 7.1637 0.0185
S 0.2752 -0.2100 13.7407
S 3.1541 5.2055 9.8799
S 3.9446 5.2055 13.7788
S 0.9580 -2.1659 11.7455
S 6.7974 2.1659 4.0269
S 3.8109 -5.2055 1.9937
S 4.6014 -5.2055 5.8925
S 7.4803 0.2100 2.0318
S 3.1250 -7.1637 15.7539
S 6.8235 -0.2100 9.9180
S 3.9736 -7.1637 7.9048
S 6.1406 -2.1659 11.9132
N 1.4664 0.4682 11.4122
N 4.3272 4.5179 0.4527
N 2.1233 -0.4682 3.5259
N 4.0852 4.5179 7.4336
N 3.6703 -4.5179 8.3389
N 5.6322 0.4682 12.2465
N 3.4283 -4.5179 15.3198
N 6.2891 -0.4682 4.3603
CELL_PARAMETERS angstrom
4.5346 -10.0020 0.0000
4.5346 10.0020 0.0000
-1.3137 0.0000 15.7725
! - Energy: -135.365 eV/f.u.
! - Formation energy from the elements: -0.188 eV per atom
! - Symmetry: No. 15
! - Total moment: 0.00 μB/f.u.

---

Question: What is the formula in the first record?
Answer: Fe7Se8